1.
Density functional theory data (GGA-PBE) for a relaxed K3Er7S12 crystal.

Cell: 3.964 11.900 24.735 Å, 90.00 90.00 90.00°
Fractional coordinates of all 44 atoms:
S1 0.500 0.980 0.693
S2 0.500 0.671 0.898
S3 0.000 0.020 0.193
S4 0.500 0.364 0.926
K1 0.500 0.817 0.468
S5 0.000 0.636 0.426
K2 0.500 0.945 0.864
Er1 0.000 0.980 0.080
Er2 0.000 0.808 0.679
S6 0.500 0.520 0.308
S7 0.000 0.480 0.808
S8 0.500 0.844 0.323
S9 0.500 0.094 0.477
S10 0.000 0.865 0.573
S11 0.000 0.344 0.178
S12 0.500 0.294 0.713
K3 0.000 0.183 0.968
S13 0.000 0.156 0.823
Er3 0.500 0.855 0.211
S14 0.000 0.172 0.602
S15 0.000 0.706 0.213
Er4 0.000 0.520 0.922
Er5 0.000 0.145 0.711
Er6 0.000 0.251 0.500
S16 0.500 0.205 0.287
Er7 0.500 0.749 0.000
Er8 0.000 0.355 0.288
K4 0.000 0.055 0.364
Er9 0.500 0.020 0.580
Er10 0.500 0.192 0.179
Er11 0.000 0.689 0.320
Er12 0.500 0.645 0.788
K5 0.000 0.448 0.635
S17 0.500 0.828 0.102
Er13 0.500 0.480 0.422
S18 0.000 0.906 0.977
S19 0.000 0.795 0.787
Er14 0.500 0.311 0.820
K6 0.500 0.552 0.135
S20 0.000 0.329 0.398
S21 0.500 0.402 0.522
S22 0.500 0.656 0.678
S23 0.500 0.135 0.073
S24 0.000 0.598 0.022

Energy with MP2020 corrections in eV for the cell shown: -268.72

2.
Density functional theory data (GGA-PBE) for a relaxed KErTe2 crystal.

Cell: 4.469 4.469 8.639 Å, 75.01 75.01 60.00°
Fractional coordinates of all 4 atoms:
Te1 0.264 0.264 0.207
Te2 0.736 0.736 0.793
Er1 0.000 0.000 0.000
K1 0.500 0.500 0.500

Energy with MP2020 corrections in eV for the cell shown: -18.31

3.
Density functional theory data (GGA-PBE) for a relaxed La3Er crystal.

Cell: 6.391 6.391 6.391 Å, 131.99 131.99 70.25°
Fractional coordinates of all 4 atoms:
La1 0.250 0.750 0.500
Er1 0.000 0.000 0.000
La2 0.500 0.500 0.000
La3 0.750 0.250 0.500

4.
Density functional theory data (GGA-PBE) for a relaxed LaErMg2 crystal.

Cell: 5.472 5.472 5.472 Å, 60.00 60.00 60.00°
Fractional coordinates of all 4 atoms:
La1 0.000 0.000 0.000
Mg1 0.250 0.250 0.250
Er1 0.500 0.500 0.500
Mg2 0.750 0.750 0.750

5.
Density functional theory data (GGA-PBE) for a relaxed LaErO3 crystal.

Cell: 5.877 6.077 8.514 Å, 90.00 90.00 90.00°
Fractional coordinates of all 20 atoms:
O1 0.693 0.806 0.568
Er1 0.000 0.000 0.000
O2 0.307 0.194 0.432
Er2 0.500 0.500 0.500
O3 0.693 0.806 0.932
La1 0.015 0.452 0.250
O4 0.193 0.694 0.068
La2 0.485 0.952 0.250
O5 0.627 0.557 0.250
O6 0.307 0.194 0.068
O7 0.373 0.443 0.750
Er3 0.500 0.500 0.000
La3 0.985 0.548 0.750
O8 0.193 0.694 0.432
O9 0.807 0.306 0.568
O10 0.807 0.306 0.932
O11 0.127 0.943 0.750
Er4 0.000 0.000 0.500
O12 0.873 0.057 0.250
La4 0.515 0.048 0.750

Energy with MP2020 corrections in eV for the cell shown: -176.16

6.
Density functional theory data (GGA-PBE) for a relaxed La9ErO15 crystal.

Cell: 9.972 6.790 7.302 Å, 62.30 108.06 90.00°
Fractional coordinates of all 25 atoms:
O1 0.999 0.000 0.999
La1 0.451 0.231 0.205
La2 0.847 0.033 0.599
O2 0.529 0.390 0.889
La3 0.949 0.570 0.197
O3 0.727 0.789 0.090
Er1 0.653 0.640 0.386
O4 0.271 0.208 0.918
O5 0.071 0.809 0.717
O6 0.479 0.608 0.131
La4 0.749 0.170 0.992
O7 0.200 0.400 0.200
O8 0.861 0.418 0.511
La5 0.151 0.969 0.397
La6 0.047 0.433 0.800
O9 0.796 0.600 0.796
O10 0.928 0.192 0.284
O11 0.128 0.591 0.483
La7 0.552 0.766 0.796
O12 0.330 0.990 0.684
O13 0.670 0.991 0.321
La8 0.252 0.831 0.005
O14 0.404 0.794 0.404
O15 0.601 0.206 0.600
La9 0.353 0.370 0.595

Energy with MP2020 corrections in eV for the cell shown: -219.53
Excess energy over the best structure of this formula in the dataset in meV/atom: 0

Calculated energy relative to the elements, -2246, -1587, 32, -78, -3939, -3853 meV per atom (same order as the records).
Calculated V, 26.5, 35.7, 35.3, 29.0, 15.2, 16.4 Å³ per atom (same order as the records).